{
  "formula": "Cd4Sb2I3",
  "functional": "PBE-GGA",
  "state": "optimized geometry",
  "lattice": [[13.897, 0.000, 0.000], [0.000, 13.897, 0.000], [0.000, 0.000, 13.897]],
  "species": ["Cd", "Cd", "Cd", "Cd", "Cd", "Cd", "Cd", "Cd", "Cd", "Cd", "Cd", "Cd", "Cd", "Cd", "Cd", "Cd", "Cd", "Cd", "Cd", "Cd", "Cd", "Cd", "Cd", "Cd", "Cd", "Cd", "Cd", "Cd", "Cd", "Cd", "Cd", "Cd", "Sb", "Sb", "Sb", "Sb", "Sb", "Sb", "Sb", "Sb", "Sb", "Sb", "Sb", "Sb", "Sb", "Sb", "Sb", "Sb", "I", "I", "I", "I", "I", "I", "I", "I", "I", "I", "I", "I", "I", "I", "I", "I", "I", "I", "I", "I", "I", "I", "I", "I"],
  "frac_coords": [[0.018, 0.246, 0.532], [0.018, 0.254, 0.032], [0.032, 0.018, 0.254], [0.032, 0.482, 0.754], [0.222, 0.722, 0.778], [0.222, 0.778, 0.278], [0.246, 0.532, 0.018], [0.246, 0.968, 0.518], [0.254, 0.032, 0.018], [0.254, 0.468, 0.518], [0.278, 0.222, 0.778], [0.278, 0.278, 0.278], [0.468, 0.518, 0.254], [0.468, 0.982, 0.754], [0.482, 0.746, 0.532], [0.482, 0.754, 0.032], [0.518, 0.246, 0.968], [0.518, 0.254, 0.468], [0.532, 0.018, 0.246], [0.532, 0.482, 0.746], [0.722, 0.722, 0.722], [0.722, 0.778, 0.222], [0.746, 0.532, 0.482], [0.746, 0.968, 0.982], [0.754, 0.032, 0.482], [0.754, 0.468, 0.982], [0.778, 0.222, 0.722], [0.778, 0.278, 0.222], [0.968, 0.518, 0.246], [0.968, 0.982, 0.746], [0.982, 0.746, 0.968], [0.982, 0.754, 0.468], [0.059, 0.059, 0.059], [0.059, 0.441, 0.559], [0.106, 0.606, 0.894], [0.106, 0.894, 0.394], [0.394, 0.106, 0.894], [0.394, 0.394, 0.394], [0.441, 0.559, 0.059], [0.441, 0.941, 0.559], [0.559, 0.059, 0.441], [0.559, 0.441, 0.941], [0.606, 0.606, 0.606], [0.606, 0.894, 0.106], [0.894, 0.106, 0.606], [0.894, 0.394, 0.106], [0.941, 0.559, 0.441], [0.941, 0.941, 0.941], [0.072, 0.233, 0.319], [0.072, 0.267, 0.819], [0.181, 0.572, 0.233], [0.181, 0.928, 0.733], [0.233, 0.181, 0.572], [0.233, 0.319, 0.072], [0.267, 0.681, 0.572], [0.267, 0.819, 0.072], [0.319, 0.072, 0.233], [0.319, 0.428, 0.733], [0.428, 0.733, 0.319], [0.428, 0.767, 0.819], [0.572, 0.233, 0.181], [0.572, 0.267, 0.681], [0.681, 0.572, 0.267], [0.681, 0.928, 0.767], [0.733, 0.181, 0.928], [0.733, 0.319, 0.428], [0.767, 0.681, 0.928], [0.767, 0.819, 0.428], [0.819, 0.072, 0.267], [0.819, 0.428, 0.767], [0.928, 0.733, 0.181], [0.928, 0.767, 0.681]],
  "e_form_ev_per_atom": -0.467,
  "spacegroup": "Pa-3, No. 205",
  "total_energy_ev_per_cell": -156.68
}

***

{
  "formula": "Tl3Cd2I7",
  "functional": "PBE-GGA",
  "state": "optimized geometry",
  "lattice": [[14.345, 0.000, 0.000], [0.000, 15.452, 0.000], [0.000, 0.000, 4.591]],
  "species": ["Tl", "Tl", "Tl", "Tl", "Tl", "Tl", "Cd", "Cd", "Cd", "Cd", "I", "I", "I", "I", "I", "I", "I", "I", "I", "I", "I", "I", "I", "I"],
  "frac_coords": [[0.000, 0.000, 0.000], [0.105, 0.366, 0.000], [0.395, 0.866, 0.000], [0.500, 0.500, 0.000], [0.605, 0.134, 0.000], [0.895, 0.634, 0.000], [0.247, 0.614, 0.500], [0.253, 0.114, 0.500], [0.747, 0.886, 0.500], [0.753, 0.386, 0.500], [0.000, 0.500, 0.500], [0.067, 0.182, 0.500], [0.160, 0.691, 0.000], [0.205, 0.938, 0.500], [0.295, 0.438, 0.500], [0.340, 0.191, 0.000], [0.433, 0.682, 0.500], [0.500, 0.000, 0.500], [0.567, 0.318, 0.500], [0.660, 0.809, 0.000], [0.705, 0.562, 0.500], [0.795, 0.062, 0.500], [0.840, 0.309, 0.000], [0.933, 0.818, 0.500]],
  "e_form_ev_per_atom": -0.856,
  "spacegroup": "Pbam, No. 55",
  "total_energy_ev_per_cell": -54.43
}

***

{
  "formula": "CdIn3",
  "functional": "PBE-GGA",
  "state": "optimized geometry",
  "lattice": [[6.505, 0.000, 0.000], [-3.252, 5.633, 0.000], [0.000, 0.000, 5.911]],
  "species": ["Cd", "Cd", "In", "In", "In", "In", "In", "In"],
  "frac_coords": [[0.333, 0.667, 0.250], [0.667, 0.333, 0.750], [0.168, 0.337, 0.750], [0.168, 0.832, 0.750], [0.337, 0.168, 0.250], [0.663, 0.832, 0.750], [0.832, 0.168, 0.250], [0.832, 0.663, 0.250]],
  "e_form_ev_per_atom": 0.050,
  "spacegroup": "P6_3/mmc, No. 194",
  "total_energy_ev_per_cell": -17.96
}

***

{
  "formula": "CdIn",
  "functional": "PBE-GGA",
  "state": "optimized geometry",
  "lattice": [[3.318, 0.000, 0.000], [-1.659, 2.873, 0.000], [0.000, 0.000, 5.461]],
  "species": ["Cd", "In"],
  "frac_coords": [[0.000, 0.000, 0.000], [0.667, 0.333, 0.500]],
  "e_form_ev_per_atom": 0.039,
  "spacegroup": "P-6m2, No. 187",
  "total_energy_ev_per_cell": -3.60
}

***

{
  "formula": "Cd3In",
  "functional": "PBE-GGA",
  "state": "optimized geometry",
  "lattice": [[4.595, 0.000, 0.000], [0.000, 4.595, 0.000], [0.000, 0.000, 4.595]],
  "species": ["Cd", "Cd", "Cd", "In"],
  "frac_coords": [[0.000, 0.000, 0.500], [0.000, 0.500, 0.000], [0.500, 0.000, 0.000], [0.500, 0.500, 0.500]],
  "e_form_ev_per_atom": 0.022,
  "spacegroup": "Pm-3m, No. 221",
  "total_energy_ev_per_cell": -5.43
}

***

{
  "formula": "CdIn3",
  "functional": "PBE-GGA",
  "state": "optimized geometry",
  "lattice": [[0.000, 3.781, 3.781], [3.781, 0.000, 3.781], [3.781, 3.781, 0.000]],
  "species": ["Cd", "In", "In", "In"],
  "frac_coords": [[0.000, 0.000, 0.000], [0.250, 0.250, 0.250], [0.500, 0.500, 0.500], [0.750, 0.750, 0.750]],
  "e_form_ev_per_atom": 0.052,
  "spacegroup": "Fm-3m, No. 225",
  "total_energy_ev_per_cell": -8.97
}

***

{
  "formula": "K23Na8Cd12In48",
  "functional": "PBE-GGA",
  "state": "optimized geometry",
  "lattice": [[17.584, 0.000, 0.000], [-8.792, 15.228, 0.000], [0.000, 0.000, 10.692]],
  "species": ["K", "K", "K", "K", "K", "K", "K", "K", "K", "K", "K", "K", "K", "K", "K", "K", "K", "K", "K", "K", "K", "K", "K", "Na", "Na", "Na", "Na", "Na", "Na", "Na", "Na", "Cd", "Cd", "Cd", "Cd", "Cd", "Cd", "Cd", "Cd", "Cd", "Cd", "Cd", "Cd", "In", "In", "In", "In", "In", "In", "In", "In", "In", "In", "In", "In", "In", "In", "In", "In", "In", "In", "In", "In", "In", "In", "In", "In", "In", "In", "In", "In", "In", "In", "In", "In", "In", "In", "In", "In", "In", "In", "In", "In", "In", "In", "In", "In", "In", "In", "In", "In"],
  "frac_coords": [[0.000, 0.000, 0.000], [0.000, 0.370, 0.500], [0.000, 0.630, 0.500], [0.209, 0.417, 0.304], [0.209, 0.417, 0.696], [0.209, 0.791, 0.304], [0.209, 0.791, 0.696], [0.333, 0.667, 0.199], [0.333, 0.667, 0.801], [0.370, 0.000, 0.500], [0.370, 0.370, 0.500], [0.417, 0.209, 0.304], [0.417, 0.209, 0.696], [0.583, 0.791, 0.304], [0.583, 0.791, 0.696], [0.630, 0.000, 0.500], [0.630, 0.630, 0.500], [0.667, 0.333, 0.199], [0.667, 0.333, 0.801], [0.791, 0.209, 0.304], [0.791, 0.209, 0.696], [0.791, 0.583, 0.304], [0.791, 0.583, 0.696], [0.000, 0.000, 0.346], [0.000, 0.000, 0.654], [0.139, 0.277, 0.000], [0.139, 0.861, 0.000], [0.277, 0.139, 0.000], [0.723, 0.861, 0.000], [0.861, 0.139, 0.000], [0.861, 0.723, 0.000], [0.000, 0.187, 0.254], [0.000, 0.187, 0.746], [0.000, 0.813, 0.254], [0.000, 0.813, 0.746], [0.187, 0.000, 0.254], [0.187, 0.000, 0.746], [0.187, 0.187, 0.254], [0.187, 0.187, 0.746], [0.813, 0.000, 0.254], [0.813, 0.000, 0.746], [0.813, 0.813, 0.254], [0.813, 0.813, 0.746], [0.000, 0.352, 0.148], [0.000, 0.352, 0.852], [0.000, 0.648, 0.148], [0.000, 0.648, 0.852], [0.101, 0.550, 0.251], [0.101, 0.550, 0.749], [0.107, 0.213, 0.500], [0.107, 0.893, 0.500], [0.160, 0.493, 0.000], [0.160, 0.667, 0.000], [0.212, 0.606, 0.500], [0.213, 0.107, 0.500], [0.333, 0.493, 0.000], [0.333, 0.840, 0.000], [0.352, 0.000, 0.148], [0.352, 0.000, 0.852], [0.352, 0.352, 0.148], [0.352, 0.352, 0.852], [0.394, 0.606, 0.500], [0.394, 0.788, 0.500], [0.450, 0.550, 0.251], [0.450, 0.550, 0.749], [0.450, 0.899, 0.251], [0.450, 0.899, 0.749], [0.493, 0.160, 0.000], [0.493, 0.333, 0.000], [0.507, 0.667, 0.000], [0.507, 0.840, 0.000], [0.550, 0.101, 0.251], [0.550, 0.101, 0.749], [0.550, 0.450, 0.251], [0.550, 0.450, 0.749], [0.606, 0.212, 0.500], [0.606, 0.394, 0.500], [0.648, 0.000, 0.148], [0.648, 0.000, 0.852], [0.648, 0.648, 0.148], [0.648, 0.648, 0.852], [0.667, 0.160, 0.000], [0.667, 0.507, 0.000], [0.787, 0.893, 0.500], [0.788, 0.394, 0.500], [0.840, 0.333, 0.000], [0.840, 0.507, 0.000], [0.893, 0.107, 0.500], [0.893, 0.787, 0.500], [0.899, 0.450, 0.251], [0.899, 0.450, 0.749]],
  "e_form_ev_per_atom": -0.152,
  "spacegroup": "P6/mmm, No. 191",
  "total_energy_ev_per_cell": -193.14
}

***

{
  "formula": "La2CdIn",
  "functional": "PBE-GGA",
  "state": "optimized geometry",
  "lattice": [[0.000, 3.961, 3.961], [3.961, 0.000, 3.961], [3.961, 3.961, 0.000]],
  "species": ["La", "La", "Cd", "In"],
  "frac_coords": [[0.250, 0.250, 0.250], [0.750, 0.750, 0.750], [0.000, 0.000, 0.000], [0.500, 0.500, 0.500]],
  "e_form_ev_per_atom": -0.420,
  "spacegroup": "Fm-3m, No. 225",
  "total_energy_ev_per_cell": -15.23
}

***

{
  "formula": "Lu2CdIn",
  "functional": "PBE-GGA",
  "state": "optimized geometry",
  "lattice": [[0.000, 3.684, 3.684], [3.684, 0.000, 3.684], [3.684, 3.684, 0.000]],
  "species": ["Lu", "Lu", "Cd", "In"],
  "frac_coords": [[0.250, 0.250, 0.250], [0.750, 0.750, 0.750], [0.000, 0.000, 0.000], [0.500, 0.500, 0.500]],
  "e_form_ev_per_atom": -0.354,
  "spacegroup": "Fm-3m, No. 225",
  "total_energy_ev_per_cell": -14.13
}

***

{
  "formula": "Mg6CdIn",
  "functional": "PBE-GGA",
  "state": "optimized geometry",
  "lattice": [[6.328, 0.000, 0.000], [-3.164, 5.480, 0.000], [0.000, 0.000, 5.200]],
  "species": ["Mg", "Mg", "Mg", "Mg", "Mg", "Mg", "Cd", "In"],
  "frac_coords": [[0.000, 0.500, 0.000], [0.166, 0.332, 0.500], [0.166, 0.834, 0.500], [0.500, 0.000, 0.000], [0.500, 0.500, 0.000], [0.668, 0.834, 0.500], [0.000, 0.000, 0.000], [0.667, 0.333, 0.500]],
  "e_form_ev_per_atom": -0.083,
  "spacegroup": "P-6m2, No. 187",
  "total_energy_ev_per_cell": -13.94
}

***

{
  "formula": "Cd3In2N4",
  "functional": "PBE-GGA",
  "state": "optimized geometry",
  "lattice": [[4.847, -5.293, 0.000], [4.847, 5.293, 0.000], [-0.720, 0.000, 5.895]],
  "species": ["Cd", "Cd", "Cd", "Cd", "Cd", "Cd", "In", "In", "In", "In", "N", "N", "N", "N", "N", "N", "N", "N"],
  "frac_coords": [[0.151, 0.849, 0.750], [0.235, 0.537, 0.409], [0.463, 0.765, 0.091], [0.537, 0.235, 0.909], [0.765, 0.463, 0.591], [0.849, 0.151, 0.250], [0.100, 0.325, 0.869], [0.325, 0.100, 0.369], [0.675, 0.900, 0.631], [0.900, 0.675, 0.131], [0.109, 0.267, 0.497], [0.182, 0.614, 0.015], [0.267, 0.109, 0.997], [0.386, 0.818, 0.485], [0.614, 0.182, 0.515], [0.733, 0.891, 0.003], [0.818, 0.386, 0.985], [0.891, 0.733, 0.503]],
  "e_form_ev_per_atom": 0.304,
  "spacegroup": "C2/c, No. 15",
  "total_energy_ev_per_cell": -74.87,
  "total_magnetization_mub_per_fu": 0.00
}

***

{
  "formula": "NaCdIn4P6O24",
  "functional": "PBE-GGA",
  "state": "optimized geometry",
  "lattice": [[6.718, 0.000, 0.000], [2.620, 8.762, 0.000], [1.452, 2.284, 17.225]],
  "species": ["Na", "Na", "Cd", "Cd", "In", "In", "In", "In", "In", "In", "In", "In", "P", "P", "P", "P", "P", "P", "P", "P", "P", "P", "P", "P", "O", "O", "O", "O", "O", "O", "O", "O", "O", "O", "O", "O", "O", "O", "O", "O", "O", "O", "O", "O", "O", "O", "O", "O", "O", "O", "O", "O", "O", "O", "O", "O", "O", "O", "O", "O", "O", "O", "O", "O", "O", "O", "O", "O", "O", "O", "O", "O"],
  "frac_coords": [[0.000, 0.000, 0.000], [0.500, 0.000, 0.000], [0.135, 0.229, 0.613], [0.865, 0.771, 0.387], [0.152, 0.875, 0.216], [0.200, 0.439, 0.935], [0.304, 0.569, 0.565], [0.352, 0.132, 0.283], [0.648, 0.868, 0.717], [0.696, 0.431, 0.435], [0.800, 0.561, 0.065], [0.848, 0.125, 0.784], [0.145, 0.215, 0.107], [0.177, 0.850, 0.683], [0.205, 0.372, 0.424], [0.287, 0.637, 0.076], [0.312, 0.156, 0.817], [0.359, 0.789, 0.394], [0.641, 0.211, 0.606], [0.688, 0.844, 0.183], [0.713, 0.363, 0.924], [0.795, 0.628, 0.576], [0.823, 0.150, 0.317], [0.855, 0.785, 0.893], [0.012, 0.505, 0.584], [0.044, 0.092, 0.276], [0.071, 0.670, 0.881], [0.125, 0.047, 0.116], [0.135, 0.559, 0.045], [0.152, 0.164, 0.754], [0.180, 0.236, 0.483], [0.198, 0.692, 0.659], [0.204, 0.767, 0.336], [0.206, 0.680, 0.157], [0.210, 0.969, 0.614], [0.241, 0.237, 0.023], [0.262, 0.763, 0.477], [0.275, 0.054, 0.892], [0.290, 0.238, 0.166], [0.290, 0.790, 0.025], [0.291, 0.322, 0.345], [0.293, 0.318, 0.837], [0.340, 0.845, 0.742], [0.357, 0.454, 0.453], [0.389, 0.952, 0.379], [0.421, 0.328, 0.618], [0.466, 0.909, 0.222], [0.497, 0.480, 0.922], [0.503, 0.520, 0.078], [0.534, 0.091, 0.778], [0.579, 0.672, 0.382], [0.611, 0.048, 0.621], [0.643, 0.546, 0.547], [0.660, 0.155, 0.258], [0.707, 0.682, 0.163], [0.709, 0.678, 0.655], [0.710, 0.210, 0.975], [0.710, 0.762, 0.834], [0.725, 0.946, 0.108], [0.738, 0.237, 0.523], [0.759, 0.763, 0.977], [0.790, 0.031, 0.386], [0.794, 0.320, 0.843], [0.796, 0.233, 0.664], [0.802, 0.308, 0.341], [0.820, 0.764, 0.517], [0.848, 0.836, 0.246], [0.865, 0.441, 0.955], [0.875, 0.953, 0.884], [0.929, 0.330, 0.119], [0.956, 0.908, 0.724], [0.988, 0.495, 0.416]],
  "e_form_ev_per_atom": -2.303,
  "spacegroup": "P-1, No. 2",
  "total_energy_ev_per_cell": -461.81,
  "total_magnetization_mub_per_fu": 3.00
}